# 1
Material: Y5Ga3
Method: DFT, r²SCAN
State: relaxed

Structure (CIF):
```
data_Y5Ga3
_chemical_formula_sum 'Y20 Ga12'
_cell_length_a 7.646
_cell_length_b 7.646
_cell_length_c 14.164
_cell_angle_alpha 90.00
_cell_angle_beta 90.00
_cell_angle_gamma 90.00
_space_group_name_H-M_alt 'P 1'
_space_group_IT_number 1
loop_
_space_group_symop_operation_xyz
'x,y,z'
loop_
_atom_site_label
_atom_site_fract_x
_atom_site_fract_y
_atom_site_fract_z
_atom_site_occupancy
Ga1 0.378 0.378 0.750 1
Ga2 0.622 0.622 0.750 1
Y1 0.172 0.168 0.604 1
Ga3 0.378 0.622 0.250 1
Y2 0.500 0.000 0.254 1
Ga4 0.000 0.500 0.002 1
Y3 0.332 0.672 0.604 1
Y4 0.672 0.332 0.896 1
Y5 0.328 0.332 0.396 1
Ga5 0.122 0.878 0.750 1
Y6 0.172 0.832 0.104 1
Y7 0.500 0.000 0.754 1
Y8 0.000 0.500 0.246 1
Y9 0.168 0.172 0.896 1
Y10 0.328 0.668 0.896 1
Y11 0.828 0.168 0.104 1
Y12 0.668 0.672 0.104 1
Ga6 0.122 0.122 0.250 1
Ga7 0.500 0.000 0.498 1
Ga8 0.500 0.000 0.998 1
Y13 0.168 0.828 0.396 1
Y14 0.832 0.828 0.896 1
Ga9 0.622 0.378 0.250 1
Y15 0.668 0.328 0.604 1
Y16 0.832 0.172 0.396 1
Ga10 0.878 0.122 0.750 1
Y17 0.332 0.328 0.104 1
Y18 0.828 0.832 0.604 1
Y19 0.000 0.500 0.746 1
Ga11 0.878 0.878 0.250 1
Y20 0.672 0.668 0.396 1
Ga12 0.000 0.500 0.502 1
```

Calculated values
ΔE to the lowest computed polymorph = 0 meV/atom
Formation energy from the elements = -0.605 eV/atom
Total energy = -17.592 eV/atom
Total moment = 3.0 Bohr magnetons per cell

# 2
Material: Sr2MgTl
Method: DFT, r²SCAN
State: relaxed

Structure (CIF):
```
data_Sr2MgTl
_chemical_formula_sum 'Sr2 Mg1 Tl1'
_cell_length_a 5.797
_cell_length_b 5.797
_cell_length_c 5.797
_cell_angle_alpha 60.00
_cell_angle_beta 60.00
_cell_angle_gamma 60.00
_space_group_name_H-M_alt 'P 1'
_space_group_IT_number 1
loop_
_space_group_symop_operation_xyz
'x,y,z'
loop_
_atom_site_label
_atom_site_fract_x
_atom_site_fract_y
_atom_site_fract_z
_atom_site_occupancy
Sr1 0.250 0.250 0.250 1
Sr2 0.750 0.750 0.750 1
Tl1 0.000 0.000 0.000 1
Mg1 0.500 0.500 0.500 1
```

Calculated values
Formation energy from the elements = -0.274 eV/atom
Total energy = -22.184 eV/atom
Total moment = 0.0 Bohr magnetons per cell

# 3
Material: CrNiAs
Method: DFT, r²SCAN
State: relaxed

Structure (CIF):
```
data_CrNiAs
_chemical_formula_sum 'Cr3 Ni3 As3'
_cell_length_a 6.205
_cell_length_b 6.205
_cell_length_c 3.644
_cell_angle_alpha 90.00
_cell_angle_beta 90.00
_cell_angle_gamma 120.00
_space_group_name_H-M_alt 'P 1'
_space_group_IT_number 1
loop_
_space_group_symop_operation_xyz
'x,y,z'
loop_
_atom_site_label
_atom_site_fract_x
_atom_site_fract_y
_atom_site_fract_z
_atom_site_occupancy
As1 0.667 0.333 0.000 1
Ni1 0.254 0.000 0.000 1
As2 0.000 0.000 0.500 1
As3 0.333 0.667 0.000 1
Cr1 0.407 0.407 0.500 1
Ni2 0.000 0.254 0.000 1
Cr2 0.593 0.000 0.500 1
Cr3 0.000 0.593 0.500 1
Ni3 0.746 0.746 0.000 1
```

Calculated values
Formation energy from the elements = -0.335 eV/atom
Total energy = -14.256 eV/atom
Total moment = 9.5 Bohr magnetons per cell

# 4
Material: Ce2Ga3Cu
Method: DFT, r²SCAN
State: relaxed

Structure (CIF):
```
data_Ce2Ga3Cu
_chemical_formula_sum 'Ce2 Ga3 Cu1'
_cell_length_a 4.359
_cell_length_b 4.359
_cell_length_c 7.952
_cell_angle_alpha 90.00
_cell_angle_beta 90.00
_cell_angle_gamma 120.00
_space_group_name_H-M_alt 'P 1'
_space_group_IT_number 1
loop_
_space_group_symop_operation_xyz
'x,y,z'
loop_
_atom_site_label
_atom_site_fract_x
_atom_site_fract_y
_atom_site_fract_z
_atom_site_occupancy
Cu1 0.667 0.333 0.514 1
Ga1 0.667 0.333 0.968 1
Ce1 0.000 0.000 0.734 1
Ga2 0.333 0.667 0.034 1
Ce2 0.000 0.000 0.267 1
Ga3 0.333 0.667 0.482 1
```

Calculated values
Formation energy from the elements = -0.568 eV/atom
Total energy = -18.378 eV/atom
Total moment = 2.1 Bohr magnetons per cell

# 5
Material: NaO
Method: DFT, r²SCAN
State: relaxed

Structure (CIF):
```
data_NaO
_chemical_formula_sum 'Na6 O6'
_cell_length_a 6.135
_cell_length_b 6.135
_cell_length_c 4.425
_cell_angle_alpha 90.00
_cell_angle_beta 90.00
_cell_angle_gamma 120.00
_space_group_name_H-M_alt 'P 1'
_space_group_IT_number 1
loop_
_space_group_symop_operation_xyz
'x,y,z'
loop_
_atom_site_label
_atom_site_fract_x
_atom_site_fract_y
_atom_site_fract_z
_atom_site_occupancy
O1 0.000 0.000 0.828 1
Na1 0.366 0.000 0.000 1
O2 0.667 0.333 0.326 1
O3 0.000 0.000 0.172 1
Na2 0.700 0.000 0.500 1
O4 0.333 0.667 0.674 1
Na3 0.300 0.300 0.500 1
Na4 0.000 0.700 0.500 1
O5 0.667 0.333 0.674 1
O6 0.333 0.667 0.326 1
Na5 0.000 0.366 0.000 1
Na6 0.634 0.634 0.000 1
```

Calculated values
Formation energy from the elements = -1.236 eV/atom
Total energy = -6.004 eV/atom
Total moment = 0.0 Bohr magnetons per cell

# 6
Material: Mg6AlFe
Method: DFT, r²SCAN
State: relaxed

Structure (CIF):
```
data_Mg6AlFe
_chemical_formula_sum 'Mg12 Al2 Fe2'
_cell_length_a 4.902
_cell_length_b 5.999
_cell_length_c 10.640
_cell_angle_alpha 90.00
_cell_angle_beta 90.00
_cell_angle_gamma 90.00
_space_group_name_H-M_alt 'P 1'
_space_group_IT_number 1
loop_
_space_group_symop_operation_xyz
'x,y,z'
loop_
_atom_site_label
_atom_site_fract_x
_atom_site_fract_y
_atom_site_fract_z
_atom_site_occupancy
Al1 0.000 0.000 0.820 1
Mg1 0.500 0.753 0.917 1
Mg2 0.000 0.757 0.584 1
Mg3 0.000 0.257 0.084 1
Mg4 0.500 0.500 0.669 1
Mg5 0.000 0.743 0.084 1
Mg6 0.000 0.000 0.331 1
Al2 0.000 0.500 0.320 1
Mg7 0.000 0.243 0.584 1
Mg8 0.000 0.500 0.831 1
Mg9 0.500 0.253 0.417 1
Mg10 0.500 0.000 0.169 1
Mg11 0.500 0.747 0.417 1
Mg12 0.500 0.247 0.917 1
Fe1 0.500 0.500 0.178 1
Fe2 0.500 0.000 0.678 1
```

Calculated values
Formation energy from the elements = 0.143 eV/atom
Total energy = -5.628 eV/atom
Total moment = 5.3 Bohr magnetons per cell

# 7
Material: Tb3ZnAu5
Method: DFT, r²SCAN
State: relaxed

Structure (CIF):
```
data_Tb3ZnAu5
_chemical_formula_sum 'Tb12 Zn4 Au20'
_cell_length_a 8.371
_cell_length_b 8.371
_cell_length_c 13.402
_cell_angle_alpha 90.00
_cell_angle_beta 90.00
_cell_angle_gamma 127.50
_space_group_name_H-M_alt 'P 1'
_space_group_IT_number 1
loop_
_space_group_symop_operation_xyz
'x,y,z'
loop_
_atom_site_label
_atom_site_fract_x
_atom_site_fract_y
_atom_site_fract_z
_atom_site_occupancy
Au1 0.003 0.570 0.603 1
Tb1 0.119 0.881 0.050 1
Tb2 0.370 0.630 0.962 1
Au2 0.682 0.936 0.750 1
Au3 0.743 0.687 0.605 1
Au4 0.570 0.003 0.103 1
Au5 0.997 0.430 0.103 1
Tb3 0.678 0.322 0.750 1
Au6 0.997 0.430 0.397 1
Au7 0.936 0.682 0.250 1
Au8 0.743 0.687 0.895 1
Tb4 0.370 0.630 0.538 1
Tb5 0.119 0.881 0.450 1
Tb6 0.630 0.370 0.038 1
Au9 0.257 0.313 0.105 1
Tb7 0.881 0.119 0.950 1
Zn1 0.466 0.534 0.750 1
Au10 0.313 0.257 0.605 1
Au11 0.687 0.743 0.105 1
Tb8 0.630 0.370 0.462 1
Tb9 0.926 0.074 0.250 1
Au12 0.430 0.997 0.603 1
Zn2 0.534 0.466 0.250 1
Tb10 0.322 0.678 0.250 1
Au13 0.318 0.064 0.250 1
Au14 0.687 0.743 0.395 1
Au15 0.570 0.003 0.397 1
Tb11 0.074 0.926 0.750 1
Au16 0.257 0.313 0.395 1
Zn3 0.719 0.281 0.250 1
Au17 0.064 0.318 0.750 1
Au18 0.003 0.570 0.897 1
Au19 0.430 0.997 0.897 1
Au20 0.313 0.257 0.895 1
Zn4 0.281 0.719 0.750 1
Tb12 0.881 0.119 0.550 1
```

Calculated values
Formation energy from the elements = -0.883 eV/atom
Total energy = -40.385 eV/atom
Total moment = 0.0 Bohr magnetons per cell

# 8
Material: Si
Method: DFT, r²SCAN
State: relaxed

Structure (CIF):
```
data_Si
_chemical_formula_sum 'Si23'
_cell_length_a 8.704
_cell_length_b 8.704
_cell_length_c 8.704
_cell_angle_alpha 109.47
_cell_angle_beta 109.47
_cell_angle_gamma 109.47
_space_group_name_H-M_alt 'P 1'
_space_group_IT_number 1
loop_
_space_group_symop_operation_xyz
'x,y,z'
loop_
_atom_site_label
_atom_site_fract_x
_atom_site_fract_y
_atom_site_fract_z
_atom_site_occupancy
Si1 0.272 0.000 0.441 1
Si2 0.272 0.000 0.000 1
Si3 0.500 0.250 0.750 1
Si4 0.000 0.000 0.272 1
Si5 0.000 0.441 0.272 1
Si6 0.831 0.559 0.559 1
Si7 0.000 0.272 0.441 1
Si8 0.728 0.728 0.728 1
Si9 0.500 0.750 0.250 1
Si10 0.000 0.000 0.000 1
Si11 0.000 0.272 0.000 1
Si12 0.728 0.728 0.169 1
Si13 0.250 0.500 0.750 1
Si14 0.441 0.272 0.000 1
Si15 0.250 0.750 0.500 1
Si16 0.750 0.250 0.500 1
Si17 0.728 0.169 0.728 1
Si18 0.441 0.000 0.272 1
Si19 0.272 0.441 0.000 1
Si20 0.169 0.728 0.728 1
Si21 0.559 0.831 0.559 1
Si22 0.750 0.500 0.250 1
Si23 0.559 0.559 0.831 1
```

Calculated values
ΔE to the lowest computed polymorph = 107 meV/atom
Formation energy from the elements = 0.107 eV/atom
Total energy = -8.666 eV/atom
Total moment = 0.0 Bohr magnetons per cell